Record 1
Computed, not measured: a relaxed NaO8 crystal at the PBE level of DFT.

extended XYZ file:
```
36
Lattice="15.758 0.000 0.000 0.000 5.696 0.000 0.000 1.174 6.651" Properties=species:S:1:pos:R:3 pbc="T T T"
Na 12.566 3.061 0.386
Na 4.687 3.222 2.940
Na 3.192 3.809 6.265
Na 11.071 3.648 3.711
O 9.095 5.455 3.324
O 1.216 0.828 0.001
O 6.663 1.415 3.327
O 14.543 6.042 6.650
O 11.546 0.972 4.950
O 3.667 6.486 5.026
O 4.212 5.898 1.701
O 12.091 0.385 1.625
O 11.249 5.427 5.399
O 3.370 2.030 4.577
O 4.510 1.443 1.252
O 12.389 4.840 2.074
O 9.228 3.015 2.228
O 1.349 3.268 1.098
O 6.530 3.856 4.423
O 14.409 3.602 5.553
O 9.484 3.428 0.980
O 1.605 2.855 2.345
O 6.274 3.442 5.671
O 14.154 4.015 4.306
O 8.464 3.789 0.275
O 0.585 2.494 3.051
O 7.294 3.081 6.376
O 15.173 4.376 3.600
O 10.728 1.939 5.372
O 2.849 5.519 4.604
O 5.030 4.932 1.279
O 12.909 1.351 2.047
O 9.321 6.046 2.264
O 1.442 0.237 1.062
O 6.437 0.824 4.387
O 14.316 6.634 5.589
```

Summary:
total magnetic moment	0.319	μB per atom
distance to the lowest polymorph of the same formula	53.6	meV/atom
crystal system	monoclinic

***

Record 2
Computed, not measured: a relaxed Na6O crystal at the PBE level of DFT.

extended XYZ file:
```
21
Lattice="8.951 4.875 2.545 -9.861 -1.691 3.206 3.390 -9.150 5.601" Properties=species:S:1:pos:R:3 pbc="T T T"
Na 2.809 2.608 2.830
Na 2.012 0.597 5.548
Na -4.110 -3.058 2.958
Na -4.993 -5.220 5.930
Na -2.399 -7.677 5.786
Na 0.907 -6.691 5.621
Na -3.637 0.358 3.056
Na 3.802 -5.681 5.520
Na 7.007 -4.394 5.455
Na -1.184 -2.101 3.074
Na 2.423 -0.842 2.947
Na 5.296 0.225 2.627
Na 1.244 -2.993 5.683
Na -1.595 -0.661 5.674
Na 7.515 -0.854 5.490
Na 0.419 -4.982 8.709
Na 3.314 -3.972 8.607
Na 3.387 -9.140 5.595
O 3.549 0.853 3.918
O -3.056 -1.453 4.150
O 2.727 -7.361 4.506
```

Summary:
total magnetic moment	0.000	μB per atom
crystal system	orthorhombic

***

Record 3
Computed, not measured: a relaxed Na2OsO7 crystal at the PBE level of DFT.

extended XYZ file:
```
20
Lattice="9.244 0.000 0.000 0.000 6.201 0.000 0.000 0.547 6.201" Properties=species:S:1:pos:R:3 pbc="T T T"
Na 6.767 4.870 5.085
Na 2.145 1.878 1.116
Na 2.757 5.138 5.335
Na 7.379 1.610 0.866
Os 4.380 1.939 4.798
Os 9.002 4.809 1.403
O 2.789 1.183 5.292
O 7.411 5.565 0.910
O 6.069 2.536 5.106
O 1.447 4.212 1.095
O 4.059 2.468 3.162
O 8.681 4.280 3.040
O 5.029 6.455 4.716
O 0.407 0.294 1.486
O 0.142 0.877 4.433
O 4.764 5.871 1.769
O 8.487 3.474 0.256
O 3.865 3.274 5.945
O 8.217 1.023 4.055
O 3.595 5.725 2.147
```

Summary:
total magnetic moment	0.200	μB per atom
crystal system	monoclinic

***

Record 4
Computed, not measured: a relaxed NaOsO3 crystal at the PBE level of DFT.

extended XYZ file:
```
10
Lattice="4.667 -2.714 0.000 4.667 2.714 0.000 3.088 0.000 4.428" Properties=species:S:1:pos:R:3 pbc="T T T"
Na 3.105 0.000 1.107
Na 9.316 0.000 3.321
Os 0.000 0.000 0.000
Os 6.211 0.000 2.214
O 7.101 -1.561 2.989
O 7.772 0.408 1.107
O 6.864 1.153 3.654
O 4.649 -0.408 3.321
O 5.320 1.561 1.440
O 5.557 -1.153 0.774
```

Summary:
crystal system	trigonal

***

Record 5
Computed, not measured: a relaxed Na3OsO5 crystal at the PBE level of DFT.

extended XYZ file:
```
27
Lattice="-0.805 -3.256 4.515 0.777 -2.342 -5.054 13.445 -0.280 2.197" Properties=species:S:1:pos:R:3 pbc="T T T"
Na 11.796 -3.924 4.645
Na 3.253 -3.814 0.599
Na 5.851 -1.289 -0.619
Na 7.581 -1.604 2.564
Na 6.702 -4.190 0.708
Na 10.155 -3.876 0.884
Na 10.981 -1.133 3.079
Na 2.456 -0.694 -1.032
Na 1.615 -3.126 -3.101
Os 4.172 -1.345 2.467
Os 9.262 -1.087 -0.478
Os -0.017 -3.447 -0.332
O 12.822 -3.766 0.078
O 9.509 -1.831 -2.083
O 5.203 -2.586 1.489
O 9.441 -2.769 3.697
O 6.990 -3.259 4.237
O 10.498 -1.476 0.820
O 0.586 -3.833 1.414
O 11.879 -4.599 2.317
O 2.933 -1.466 1.120
O 6.427 -2.600 -2.578
O 3.916 -2.379 3.902
O 3.980 -2.197 -1.952
O 8.218 -2.482 0.247
O -0.008 -1.668 -0.161
O 1.523 -4.233 -0.944
```

Summary:
crystal system	trigonal

***

Record 6
Computed, not measured: a relaxed NaOsO3 crystal at the PBE level of DFT.

extended XYZ file:
```
5
Lattice="3.877 0.000 0.000 0.000 3.877 0.000 0.000 0.000 3.877" Properties=species:S:1:pos:R:3 pbc="T T T"
Na 1.938 1.938 1.938
Os 0.000 0.000 0.000
O 1.938 0.000 0.000
O 0.000 1.938 0.000
O 0.000 0.000 1.938
```

Summary:
total magnetic moment	0.001	μB per atom
crystal system	cubic

***

Record 7
Computed, not measured: a relaxed NaOsO3 crystal at the PBE level of DFT.

extended XYZ file:
```
20
Lattice="5.431 0.000 0.001 0.000 7.653 0.002 0.001 0.002 5.391" Properties=species:S:1:pos:R:3 pbc="T T T"
Na 0.178 1.914 5.356
Na 5.254 5.741 0.038
Na 2.893 1.914 2.733
Na 2.539 5.740 2.662
Os 5.432 0.001 2.697
Os 0.000 3.827 2.697
Os 2.716 3.827 0.002
Os 2.716 0.002 5.392
O 2.656 1.913 0.440
O 2.776 5.742 4.955
O 5.372 1.915 2.259
O 0.060 5.740 3.136
O 1.574 0.314 3.824
O 3.858 4.140 1.570
O 3.858 7.340 1.571
O 1.574 3.515 3.825
O 4.290 3.515 4.265
O 1.142 7.340 1.130
O 1.143 4.140 1.129
O 4.290 0.314 4.264
```

Summary:
crystal system	orthorhombic

***

Record 8
Computed, not measured: a relaxed NaPO3 crystal at the PBE level of DFT.

extended XYZ file:
```
40
Lattice="-6.185 -0.701 0.628 0.812 -7.038 0.134 1.972 -6.315 12.375" Properties=species:S:1:pos:R:3 pbc="T T T"
Na -2.225 -7.920 8.278
Na 1.340 -9.119 10.890
Na -1.177 -6.135 4.858
Na -4.742 -4.936 2.246
Na 0.862 -8.612 6.422
Na -1.683 -8.420 12.739
Na -4.264 -5.443 6.714
Na -1.719 -5.635 0.397
P 0.809 -6.552 8.964
P -1.781 -10.497 10.213
P -4.211 -7.503 4.172
P -1.621 -3.558 2.923
P -1.034 -4.624 7.793
P -2.881 -12.759 11.683
P -2.368 -9.431 5.343
P -0.521 -1.296 1.453
O -5.733 -2.870 1.332
O -1.484 -8.348 5.903
O 2.331 -11.185 11.804
O -1.918 -5.707 7.232
O -1.713 -0.774 0.715
O -3.244 -10.188 6.292
O -1.689 -13.281 12.421
O -0.158 -3.867 6.844
O -5.126 -7.768 2.862
O -2.293 -3.473 4.394
O 1.724 -6.287 10.274
O -1.108 -10.582 8.742
O -2.672 -3.758 1.866
O 1.136 -6.816 4.794
O -0.730 -10.297 11.270
O -4.538 -7.239 8.342
O -0.002 -7.780 9.253
O -2.885 -9.486 10.119
O -3.399 -6.275 3.883
O -0.517 -4.569 3.017
O -0.140 -5.228 9.018
O -2.405 -12.000 10.319
O -3.261 -8.828 4.118
O -0.997 -2.055 2.817
```

Summary:
crystal system	monoclinic

***

Record 9
Computed, not measured: a relaxed NaPO crystal at the PBE level of DFT.

extended XYZ file:
```
6
Lattice="-1.458 -5.580 -0.092 1.565 -2.245 5.077 -3.427 3.556 -2.980" Properties=species:S:1:pos:R:3 pbc="T T T"
Na -2.442 -1.012 -1.536
Na -0.931 0.655 1.049
P -1.714 1.778 -1.490
P -0.729 -2.790 -0.046
O -0.452 -1.619 1.786
O -2.868 -2.650 0.219
```

Summary:
total magnetic moment	0.000	μB per atom
distance to the lowest polymorph of the same formula	269.2	meV/atom
crystal system	orthorhombic

***

Record 10
Computed, not measured: a relaxed NaPO3 crystal at the PBE level of DFT.

extended XYZ file:
```
40
Lattice="-4.570 -7.234 4.553 1.342 9.422 1.836 -5.892 0.843 -7.650" Properties=species:S:1:pos:R:3 pbc="T T T"
Na -8.634 0.857 -2.622
Na -4.910 -1.568 -1.785
Na -5.299 1.258 -5.141
Na -5.328 -2.313 2.327
Na -1.983 3.190 4.325
Na -2.324 0.759 0.917
Na -3.675 5.266 -3.819
Na -4.327 4.678 0.756
P -7.457 -1.418 -4.907
P -4.944 1.652 2.947
P -1.366 6.216 2.133
P -2.615 2.042 -2.587
P -6.087 0.707 0.501
P -8.172 -2.901 -2.568
P -5.373 2.190 -1.839
P -0.467 3.638 1.278
O -4.086 -3.094 -0.289
O -6.863 -3.801 1.504
O -6.903 -2.940 -1.765
O -7.171 1.722 0.585
O -8.653 -4.034 -3.402
O -4.761 4.744 -6.034
O -5.031 6.990 -3.155
O -5.209 3.257 2.643
O -0.830 4.165 -0.065
O -2.252 1.515 -1.245
O -6.300 -0.759 0.746
O -4.213 1.780 -2.925
O -2.883 -2.713 1.853
O -4.769 1.158 1.391
O -1.576 8.242 -1.014
O -6.641 2.229 -2.641
O -5.387 0.775 -0.982
O -8.157 -1.486 -3.424
O -0.789 2.246 1.740
O -3.566 1.539 3.533
O -4.891 3.323 -1.004
O -1.101 4.612 2.437
O -0.163 6.860 1.541
O -7.244 0.048 -5.153
```

Summary:
total magnetic moment	0.000	μB per atom
crystal system	tetragonal

***

Record 11
Computed, not measured: a relaxed NaPO3 crystal at the PBE level of DFT.

extended XYZ file:
```
40
Lattice="7.059 -6.274 -3.172 -2.244 9.669 0.855 1.589 -1.527 9.716" Properties=species:S:1:pos:R:3 pbc="T T T"
Na 3.541 -2.270 8.768
Na 4.534 1.106 6.312
Na 4.505 2.620 -0.181
Na 1.187 5.695 2.570
Na 4.991 -3.987 4.938
Na 0.229 2.280 -0.101
Na 0.648 2.640 4.808
Na 5.984 -0.612 2.482
P 2.599 0.574 2.111
P 2.929 -1.382 4.255
P 2.323 5.141 -0.806
P 3.369 3.174 3.196
P 1.290 -0.479 6.498
P 6.596 -1.500 6.995
P 1.175 3.871 7.924
P 5.337 -1.928 -0.576
O 6.372 -2.028 0.510
O 4.717 1.414 -2.213
O 1.814 -0.940 7.831
O 1.712 4.797 0.508
O 3.898 -1.759 -0.229
O 5.488 -2.369 6.508
O 2.772 4.195 7.875
O 3.219 -2.768 3.747
O 4.509 2.593 4.231
O 4.038 0.405 1.764
O 2.567 4.199 3.950
O 5.879 -0.743 -1.556
O 1.571 0.903 6.018
O 4.037 -0.513 4.742
O 4.715 2.588 8.156
O 2.392 1.873 3.100
O 1.767 -1.589 5.380
O 3.981 3.518 1.881
O 1.564 0.674 1.024
O 0.651 4.332 6.591
O 5.545 -3.227 -1.566
O 0.894 2.489 8.405
O 0.698 4.981 9.043
O 2.057 -0.611 3.091
```

Summary:
total magnetic moment	0.000	μB per atom
crystal system	tetragonal

***

Record 12
Computed, not measured: a relaxed NaPO3 crystal at the PBE level of DFT.

extended XYZ file:
```
30
Lattice="7.094 0.000 0.000 -0.032 7.184 0.000 -1.868 -0.576 7.822" Properties=species:S:1:pos:R:3 pbc="T T T"
Na 2.552 4.979 6.318
Na 2.643 1.628 1.503
Na -1.076 4.936 6.142
Na 6.271 1.671 1.680
Na 0.808 6.711 4.008
Na 4.386 -0.103 3.814
P 2.864 1.204 6.391
P 2.331 5.403 1.431
P -1.244 1.209 6.403
P 6.439 5.398 1.419
P 0.807 2.818 4.840
P 4.388 3.790 2.982
O 2.623 0.013 5.500
O 2.571 6.595 2.322
O -0.982 0.017 5.521
O 6.176 6.591 2.301
O 0.711 4.930 7.784
O 4.484 1.678 0.038
O 4.343 4.916 7.764
O 0.851 1.692 0.058
O 4.359 1.770 6.115
O 0.836 4.838 1.707
O 2.081 2.507 5.810
O 3.114 4.100 2.012
O -0.452 2.506 5.836
O 5.647 4.102 1.986
O 0.800 4.314 4.721
O 4.394 2.294 3.101
O 4.401 4.689 4.179
O 0.793 1.919 3.643
```

Summary:
crystal system	triclinic

***

Record 13
Computed, not measured: a relaxed NaPO6 crystal at the PBE level of DFT.

extended XYZ file:
```
32
Lattice="3.916 6.421 0.000 -3.916 6.421 0.000 0.000 5.805 10.827" Properties=species:S:1:pos:R:3 pbc="T T T"
Na 0.786 4.829 2.768
Na -0.786 13.817 8.059
Na 0.786 10.915 2.646
Na -0.786 7.731 8.181
P 2.854 7.152 1.154
P -2.854 11.494 9.673
P 2.854 8.592 4.260
P -2.854 10.054 6.567
O -0.960 13.748 5.077
O 0.960 4.899 5.750
O -0.960 1.996 0.336
O 0.960 16.650 10.491
O -1.022 8.183 1.085
O 1.022 10.463 9.742
O -1.022 7.560 4.329
O 1.022 11.086 6.499
O 1.535 6.573 1.522
O -1.535 12.073 9.305
O 1.535 9.170 3.892
O -1.535 9.476 6.935
O -1.075 9.398 1.298
O 1.075 9.248 9.529
O -1.075 6.346 4.115
O 1.075 12.300 6.712
O -0.209 15.858 7.061
O 0.209 2.788 3.767
O -0.209 5.690 9.180
O 0.209 12.956 1.647
O -1.280 11.271 4.222
O 1.280 7.375 6.605
O -1.280 4.472 1.191
O 1.280 14.174 9.636
```

Summary:
total magnetic moment	0.500	μB per atom
crystal system	monoclinic

***

no.,raw total energy (eV per atom)
1,-4.6117
2,-2.2144
3,-5.8398
4,-6.7055
5,-5.8447
6,-6.6859
7,-6.7209
8,-6.5369
9,-4.2222
10,-6.4945
11,-6.5144
12,-6.5427
13,-5.3857